(1)
24
Lattice="-4.529 1.663 2.188 2.651 -4.051 2.150 4.471 5.570 7.089" Properties=species:S:1:pos:R:3 comment="PBE+U Li5Ti2Mn5O12, optimized geometry" e_form_mev_per_atom=-2468 crystal_system=monoclinic energy_ha_per_atom=-0.265 pbc="T T T"
Li 1.322 2.930 8.635
Li 0.315 -0.964 4.990
Li -0.022 1.281 2.799
Li 3.571 3.117 6.430
Li 2.043 -3.567 2.153
Ti -2.785 0.276 2.179
Ti 3.072 0.178 5.704
Mn -1.717 3.989 5.730
Mn 2.430 -0.731 2.831
Mn 3.833 0.992 8.577
Mn 0.711 2.056 5.717
Mn -0.398 -1.625 2.166
O 1.048 -0.168 1.340
O 2.984 2.204 10.079
O -0.267 3.293 7.203
O -0.723 2.740 4.243
O -1.277 -0.285 3.472
O 2.562 4.508 7.963
O 2.325 1.425 7.052
O 1.680 0.633 4.368
O 1.034 -2.310 3.584
O 5.053 2.711 7.825
O 1.875 3.739 4.895
O -0.661 0.541 6.539

=====

(2)
56
Lattice="-5.921 0.000 0.000 2.932 5.302 0.000 -0.168 -2.583 -19.683" Properties=species:S:1:pos:R:3 comment="PBE+U Li7Ti5Mn12O32, optimized geometry" e_form_mev_per_atom=-2458 crystal_system=triclinic energy_ha_per_atom=-0.273 pbc="T T T"
Li -1.679 1.820 -19.090
Li -1.644 1.667 -15.389
Li -4.534 -0.230 -14.053
Li -4.545 -0.368 -10.636
Li 1.388 2.921 -5.403
Li -1.541 1.112 -4.366
Li -1.496 0.887 -0.625
Ti -0.203 -0.836 -17.208
Ti -4.440 2.594 -0.048
Ti 1.328 1.765 -17.222
Ti 1.407 3.071 -9.232
Ti -3.009 3.716 -2.483
Mn -3.126 -0.917 -17.248
Mn 1.339 3.335 -14.742
Mn -0.141 2.337 -12.375
Mn -0.063 0.292 -7.290
Mn -3.051 2.338 -12.364
Mn -1.551 3.018 -7.302
Mn -1.582 -0.262 -12.379
Mn -3.048 0.324 -7.311
Mn -1.575 1.364 -9.945
Mn -4.474 -0.640 -4.887
Mn -0.053 3.672 -2.445
Mn -4.464 1.014 -2.473
O -0.055 0.761 -18.360
O -4.598 -1.519 -18.437
O -3.360 0.922 -18.463
O -0.278 -1.257 -13.464
O -4.601 -0.045 -16.225
O 0.045 2.550 -16.033
O -1.649 -1.800 -18.254
O -1.722 1.512 -13.488
O -1.622 -0.200 -16.179
O -3.255 2.712 -16.141
O -1.597 3.069 -11.312
O -0.261 0.664 -11.227
O 1.372 1.637 -13.351
O -2.884 -1.277 -13.446
O 1.456 3.174 -11.022
O -0.169 2.189 -8.685
O -2.895 0.645 -11.177
O -4.540 -0.573 -8.299
O -4.621 0.942 -6.043
O -0.187 3.981 -6.005
O -1.477 -0.490 -8.550
O -3.035 2.093 -8.683
O -1.528 3.079 -3.659
O 0.088 0.053 -3.563
O -1.535 4.348 -1.382
O -1.530 1.258 -6.430
O -3.203 0.194 -3.673
O -2.854 3.832 -6.032
O 1.443 2.949 -3.464
O 0.181 1.817 -1.192
O -3.115 1.956 -1.309
O 1.447 4.256 -1.226

=====

(3)
68
Lattice="8.550 0.000 0.000 0.022 8.673 0.000 0.019 0.013 8.816" Properties=species:S:1:pos:R:3 comment="PBE+U Li5TiMn3O8, optimized geometry" e_form_mev_per_atom=-2324 crystal_system=triclinic energy_ha_per_atom=-0.245 pbc="T T T"
Li 8.490 0.033 0.074
Li 5.449 1.331 3.208
Li 1.192 1.253 7.608
Li 2.933 1.448 5.860
Li 7.243 1.522 1.465
Li 1.146 3.154 5.913
Li 7.203 3.175 3.310
Li 3.120 3.140 7.662
Li 5.448 3.220 1.380
Li 0.115 4.315 4.334
Li 4.346 4.500 0.019
Li 2.984 5.576 1.327
Li 5.548 5.663 7.377
Li 1.390 5.911 3.335
Li 7.334 5.743 5.605
Li 3.134 7.560 2.903
Li 5.495 7.564 5.727
Li 7.259 7.477 7.517
Li 1.186 7.340 1.249
Li 4.171 8.675 4.459
Ti 7.469 1.151 5.576
Ti 1.110 3.323 1.055
Ti 5.333 5.511 3.364
Ti 3.227 7.558 7.820
Mn 3.202 1.140 1.095
Mn 5.355 1.180 7.764
Mn 3.162 3.337 3.377
Mn 7.404 3.386 7.720
Mn 5.311 3.301 5.573
Mn 1.006 5.532 7.670
Mn 1.095 7.719 5.552
Mn 7.478 7.651 3.329
Mn 1.047 1.134 3.291
Mn 7.487 5.429 1.141
Mn 3.188 5.479 5.527
Mn 5.395 7.656 1.113
O 5.218 1.183 1.182
O 3.190 1.058 7.903
O 0.984 1.191 5.509
O 7.530 1.087 7.525
O 5.482 1.101 5.429
O 3.138 1.105 3.095
O 7.532 1.159 3.413
O 1.113 1.317 1.073
O 1.045 3.095 3.124
O 7.554 3.118 5.486
O 5.279 3.336 7.732
O 1.061 3.334 7.941
O 3.024 3.456 1.073
O 5.278 3.472 3.361
O 7.565 3.441 1.161
O 3.124 3.451 5.586
O 0.924 5.331 1.254
O 7.277 5.444 3.530
O 7.469 5.522 7.637
O 3.319 5.534 3.295
O 1.233 5.497 5.419
O 5.176 5.517 5.406
O 3.223 5.646 7.811
O 5.486 5.405 1.338
O 7.545 7.410 1.130
O 3.247 7.568 5.769
O 5.257 7.477 3.333
O 3.193 7.596 0.968
O 5.215 7.654 7.747
O 1.255 7.703 7.816
O 7.497 7.813 5.520
O 1.128 7.848 3.280

=====

(4)
12
Lattice="0.000 -1.548 2.531 -3.431 -4.146 -2.536 6.313 -3.078 -0.143" Properties=species:S:1:pos:R:3 comment="PBE+U Li3TiMn2O6, optimized geometry" relative_energy_ev_per_atom=0.016 e_form_mev_per_atom=-2470 crystal_system=monoclinic energy_ha_per_atom=-0.257 pbc="T T T"
Li -0.753 -4.997 -1.317
Li -1.660 -3.683 1.226
Li 3.582 -3.712 1.208
Ti 0.964 -2.925 -0.050
Mn 1.922 -5.892 -0.126
Mn 2.880 -7.180 -2.652
O -0.623 -1.867 0.597
O 2.544 -3.976 -0.693
O 1.073 -6.062 -1.969
O -2.583 -3.935 -0.667
O 0.146 -4.600 0.665
O 1.774 -2.795 1.769

=====

(5)
48
Lattice="-0.136 1.334 -5.809 -1.291 -4.378 -4.014 -14.503 3.001 0.544" Properties=species:S:1:pos:R:3 comment="PBE+U Li4TiMn3O8, optimized geometry" relative_energy_ev_per_atom=0.000 e_form_mev_per_atom=-2397 crystal_system=triclinic energy_ha_per_atom=-0.254 pbc="T T T"
Li -7.985 0.654 -7.487
Li -5.969 -1.464 -7.925
Li -8.649 -1.553 -9.536
Li -5.370 0.655 -5.974
Li -3.363 -1.518 -6.446
Li -2.789 0.671 -4.505
Li -13.199 -0.703 -4.833
Li -15.168 1.451 -4.388
Li -0.074 0.643 -2.909
Li -12.576 1.476 -2.833
Li -10.547 -0.662 -3.291
Li -9.967 1.528 -1.269
Ti -10.582 0.050 -6.242
Ti -0.166 1.273 -5.760
Ti -5.318 -0.023 -3.088
Mn -13.274 -0.034 -7.731
Mn -8.623 -2.197 -6.618
Mn -3.283 -2.213 -3.577
Mn -12.628 2.157 -5.727
Mn -9.957 2.228 -4.218
Mn -5.956 -2.219 -5.086
Mn -7.970 0.002 -4.616
Mn -2.652 -0.041 -1.567
Mn -0.795 -0.910 -7.782
O -2.405 -2.478 -8.253
O -9.631 -0.588 -7.757
O -11.627 1.409 -7.271
O -1.600 -0.136 -6.155
O -14.346 0.783 -6.149
O -11.975 -1.359 -6.534
O -10.911 3.536 -5.304
O -9.155 1.451 -5.847
O -6.978 -0.870 -6.107
O -13.633 2.910 -4.183
O -9.535 -1.144 -4.968
O -11.685 0.790 -4.655
O -6.413 1.190 -4.285
O -4.344 -0.671 -4.661
O -2.367 -3.249 -5.237
O -8.974 0.883 -3.155
O -6.707 -1.471 -3.402
O -3.916 1.412 -2.762
O -1.651 -0.901 -3.031
O -14.428 -0.030 -3.126
O -6.278 0.630 -1.509
O -4.231 -1.261 -1.886
O -13.438 2.196 -0.992
O -4.916 -3.569 -4.080

=====

(6)
24
Lattice="-0.003 -3.048 5.026 -3.416 -4.144 -2.555 6.389 -1.602 -2.716" Properties=species:S:1:pos:R:3 comment="PBE+U Li3TiMn2O6, optimized geometry" relative_energy_ev_per_atom=0.007 e_form_mev_per_atom=-2479 energy_ha_per_atom=-0.257 pbc="T T T"
Li -0.762 -6.487 1.179
Li -0.760 -4.962 -1.335
Li -1.680 -2.177 -1.353
Li -1.679 -3.702 1.161
Li 3.576 -2.185 -1.351
Li 3.570 -3.708 1.160
Ti 0.884 -4.424 2.458
Ti 0.885 -2.899 -0.055
Mn 2.968 -8.706 -0.211
Mn 2.028 -4.354 -2.667
Mn 2.973 -7.184 -2.724
Mn 2.026 -5.879 -0.154
O -0.601 -3.483 3.023
O -0.600 -1.957 0.510
O 2.635 -5.614 1.745
O 2.637 -4.090 -0.766
O 1.195 -7.552 0.524
O 1.199 -6.029 -1.989
O 3.831 -5.426 -3.364
O 3.832 -6.952 -0.851
O 0.216 -3.131 -1.924
O 0.215 -4.654 0.588
O 1.822 -1.300 -0.809
O 1.820 -2.823 1.704

=====

(7)
24
Lattice="0.000 -1.538 2.516 2.953 -5.728 -5.232 9.815 1.030 2.359" Properties=species:S:1:pos:R:3 comment="PBE+U Li3TiMn2O6, optimized geometry" relative_energy_ev_per_atom=0.009 e_form_mev_per_atom=-2477 crystal_system=monoclinic energy_ha_per_atom=-0.257 pbc="T T T"
Li 2.708 -0.866 1.198
Li 9.089 -3.982 1.021
Li 8.206 -1.142 1.030
Li 4.726 -5.290 -1.508
Li 3.628 -2.161 -1.321
Li 9.968 -5.277 -1.499
Ti 10.697 -1.878 2.308
Ti 7.475 -4.541 -2.777
Mn 2.961 -7.187 -2.668
Mn 5.395 -1.804 2.353
Mn 6.341 -3.092 -0.163
Mn 2.007 -4.359 -2.666
O 9.170 -0.945 2.879
O 5.798 -3.362 -2.056
O 6.045 0.253 1.883
O 2.547 -4.087 -0.772
O 4.522 -2.048 0.476
O 10.977 -5.005 0.396
O 7.183 -2.953 1.650
O 3.818 -5.396 -3.301
O 9.971 -2.081 0.456
O 6.580 -6.153 -2.035
O 1.774 -1.292 -0.790
O 8.198 -4.335 -0.923

=====

(8)
28
Lattice="-0.137 -4.132 -4.256 5.038 -2.670 -1.640 -1.340 -6.958 6.539" Properties=species:S:1:pos:R:3 comment="PBE+U Li4Ti3Mn3V2O16, optimized geometry" e_form_mev_per_atom=-2651 crystal_system=monoclinic energy_ha_per_atom=-0.277 pbc="T T T"
Li 0.425 -8.480 3.899
Li -1.319 -6.919 6.477
Li -0.652 -3.469 3.229
Li 2.744 -7.304 -1.347
Ti 3.035 -3.959 -0.386
Ti 0.456 -4.687 -1.690
Ti 3.094 -10.627 -0.184
Mn 0.548 -2.622 0.381
Mn 3.126 -8.557 1.870
Mn 0.648 -9.257 0.618
V 0.958 -5.657 1.265
V 1.910 -11.332 2.555
O 2.558 -6.612 2.122
O 1.907 -5.619 -0.633
O 1.490 -3.020 -1.261
O -0.394 -2.179 1.998
O -1.067 -5.601 5.242
O -0.082 -7.358 0.787
O 2.022 -3.899 1.258
O -0.310 -4.558 0.080
O 3.962 -6.465 -4.226
O 0.092 -5.265 2.760
O 3.625 -10.559 1.677
O 1.393 -11.190 0.550
O 2.450 -8.766 0.051
O 3.968 -4.240 -2.108
O 1.370 -9.405 2.544
O 1.414 -4.962 -3.399